No. 1
VASP calculation (PBE-GGA) on a relaxed structure of Zr2Cr3Si.

Results
SG: P6_3/mmc
Energy of formation from the pure elements (eV/atom): -0.297
Calculated volume (Å³/cell): 181.7

a = 4.9948 Å, b = 4.9948 Å, c = 8.4083 Å
α = 90.00°, β = 90.00°, γ = 120.00°
With the nearest neighbours (Å) after each atom.
Sites, in units of the cell vectors:
Zr1 0.3333 0.6667 0.0637  3 Si 2.93, 9 Cr 2.95-2.99, 4 Zr 3.08-3.13
Zr2 0.3333 0.6667 0.4363  3 Si 2.93, 9 Cr 2.95-2.99, 4 Zr 3.08-3.13
Zr3 0.6667 0.3333 0.5637  3 Si 2.93, 9 Cr 2.95-2.99, 4 Zr 3.08-3.13
Zr4 0.6667 0.3333 0.9363  3 Si 2.93, 9 Cr 2.95-2.99, 4 Zr 3.08-3.13
Cr1 0.1716 0.3431 0.7500  4 Cr 2.42-2.57, 2 Si 2.57
Cr2 0.1716 0.8284 0.7500  4 Cr 2.42-2.57, 2 Si 2.57
Cr3 0.3431 0.1716 0.2500  4 Cr 2.42-2.57, 2 Si 2.57
Cr4 0.6569 0.8284 0.7500  4 Cr 2.42-2.57, 2 Si 2.57
Cr5 0.8284 0.1716 0.2500  4 Cr 2.42-2.57, 2 Si 2.57
Cr6 0.8284 0.6569 0.2500  4 Cr 2.42-2.57, 2 Si 2.57
Si1 0.0000 0.0000 0.0000  6 Cr 2.57
Si2 0.0000 0.0000 0.5000  6 Cr 2.57


No. 2
VASP calculation (PBE-GGA) on a relaxed structure of LiCu6OF11.

Results
SG: P1
Energy of formation from the pure elements (eV/atom): -1.800
Calculated volume (Å³/cell): 222.4

a = 4.8551 Å, b = 5.4077 Å, c = 8.5152 Å
α = 84.77°, β = 87.93°, γ = 88.13°
With the nearest neighbours (Å) after each atom.
Sites, in units of the cell vectors:
Li1 0.0000 0.0000 0.0000  6 F 1.89-2.12
Cu1 0.0003 0.6233 0.8061  5 F 1.96-2.18
Cu2 0.4952 0.8471 0.1783  1 O 1.87, 3 F 1.98-2.04
Cu3 0.5121 0.1416 0.8146  4 F 1.95-1.98
Cu4 0.5189 0.4996 0.4738  1 O 1.92, 4 F 1.97-2.11
Cu5 0.9839 0.3866 0.1868  1 O 1.86, 2 F 1.94-1.97
Cu6 0.9992 0.9989 0.4945  4 F 1.87-1.92
O1 0.6809 0.5615 0.2658  3 Cu 1.86-1.92
F1 0.1743 0.6773 0.0929  2 Cu 1.94-2.02, 1 Li 2.02
F2 0.1951 0.2853 0.4128  2 Cu 1.91-2.09
F3 0.1969 0.9422 0.7797  2 Cu 1.95-1.99, 1 Li 2.12
F4 0.2905 0.8009 0.4205  2 Cu 1.87-1.97
F5 0.2915 0.1604 0.0878  1 Li 1.89, 2 Cu 2.04-2.10
F6 0.3238 0.4430 0.7195  2 Cu 1.97-1.98
F7 0.7035 0.8382 0.9083  1 Li 1.93, 2 Cu 1.98-2.04
F8 0.7067 0.1962 0.5708  2 Cu 1.88-1.98
F9 0.8015 0.0650 0.2142  2 Cu 1.97-1.98, 1 Li 2.09
F10 0.8085 0.7096 0.5797  2 Cu 1.92-2.11
F11 0.8203 0.3196 0.8930  2 Cu 1.96-1.97, 1 Li 2.06


No. 3
VASP calculation (PBE-GGA) on a relaxed structure of TlSe2O6.

Results
SG: P2_12_12_1
Energy of formation from the pure elements (eV/atom): -0.872
Calculated volume (Å³/cell): 743.0

a = 6.1894 Å, b = 6.2185 Å, c = 19.3030 Å
α = 90.00°, β = 90.00°, γ = 90.00°
With the nearest neighbours (Å) after each atom.
Sites, in units of the cell vectors:
Tl1 0.2266 0.2226 0.0833  7 O 2.83-3.15
Tl2 0.2734 0.7774 0.5833  7 O 2.83-3.15
Tl3 0.7266 0.2774 0.9167  7 O 2.83-3.15
Tl4 0.7734 0.7226 0.4167  7 O 2.83-3.15
Se1 0.2053 0.7455 0.2404  3 O 1.65-1.66
Se2 0.2052 0.7521 0.9140  3 O 1.67
Se3 0.2948 0.2479 0.4140  3 O 1.67
Se4 0.2947 0.2545 0.7404  3 O 1.65-1.66
Se5 0.7052 0.7479 0.0860  3 O 1.67
Se6 0.7053 0.7545 0.7596  3 O 1.65-1.66
Se7 0.7947 0.2455 0.2596  3 O 1.65-1.66
Se8 0.7948 0.2521 0.5860  3 O 1.67
O1 0.0308 0.3011 0.4110  1 Se 1.67
O2 0.0587 0.5669 0.9556  1 Se 1.67
O3 0.1478 0.7142 0.3233  1 Se 1.65
O4 0.1496 0.0031 0.9383  1 Se 1.67
O5 0.1862 0.4654 0.7017  1 Se 1.65
O6 0.2002 0.0146 0.7189  1 Se 1.66
O7 0.2998 0.9854 0.2189  1 Se 1.66
O8 0.3138 0.5346 0.2017  1 Se 1.65
O9 0.3504 0.9969 0.4383  1 Se 1.67
O10 0.3522 0.2858 0.8233  1 Se 1.65
O11 0.4413 0.4331 0.4556  1 Se 1.67
O12 0.4692 0.6989 0.9110  1 Se 1.67
O13 0.5308 0.1989 0.5890  1 Se 1.67
O14 0.5587 0.9331 0.0444  1 Se 1.67
O15 0.6478 0.7858 0.6767  1 Se 1.65
O16 0.6496 0.4969 0.0617  1 Se 1.67
O17 0.6862 0.0346 0.2983  1 Se 1.65
O18 0.7002 0.4854 0.2811  1 Se 1.66
O19 0.7998 0.5146 0.7811  1 Se 1.66
O20 0.8138 0.9654 0.7983  1 Se 1.65
O21 0.8504 0.5031 0.5617  1 Se 1.67
O22 0.8522 0.2142 0.1767  1 Se 1.65
O23 0.9413 0.0669 0.5444  1 Se 1.67
O24 0.9692 0.8011 0.0890  1 Se 1.67


Which of these has the lowest energy of formation from the pure elements? LiCu6OF11